(1)
The following is a r²SCAN calculation of crystalline ErCu3S3 at its relaxed geometry, from the Materials Project database.

```
data_ErCu3S3
_space_group_name_H-M_alt 'P 1'
_space_group_IT_number 1
_space_group_name_Hall 'P 1'
_cell_length_a 7.3744
_cell_length_b 7.3744
_cell_length_c 7.3744
_cell_angle_alpha 53.45
_cell_angle_beta 53.45
_cell_angle_gamma 53.45
loop_
_atom_site_label
_atom_site_type_symbol
_atom_site_fract_x
_atom_site_fract_y
_atom_site_fract_z
_atom_site_occupancy
Cu1 Cu 0.3765 0.7173 0.0369 1
Cu2 Cu 0.6235 0.2827 0.9631 1
Cu3 Cu 0.9631 0.6235 0.2827 1
Cu4 Cu 0.0369 0.3765 0.7173 1
Cu5 Cu 0.7173 0.0369 0.3765 1
Cu6 Cu 0.2827 0.9631 0.6235 1
S1 S 0.4179 0.0838 0.7491 1
S2 S 0.5821 0.9162 0.2509 1
S3 S 0.7491 0.4179 0.0838 1
S4 S 0.2509 0.5821 0.9162 1
S5 S 0.0838 0.7491 0.4179 1
S6 S 0.9162 0.2509 0.5821 1
Er1 Er 0.8335 0.8335 0.8335 1
Er2 Er 0.1665 0.1665 0.1665 1
```

Computed properties:
SG: No. 148
Calculated volume in Å³ per atom: 17.2
Energy of formation in eV/atom: -1.002
Total DFT energy (no corrections) in eV per cell: -195.16

***

(2)
The following is a r²SCAN calculation of crystalline PmH3 at its relaxed geometry, from the Materials Project database.

```
data_PmH3
_space_group_name_H-M_alt 'P 1'
_space_group_IT_number 1
_space_group_name_Hall 'P 1'
_cell_length_a 3.7901
_cell_length_b 3.7901
_cell_length_c 3.7901
_cell_angle_alpha 60.00
_cell_angle_beta 60.00
_cell_angle_gamma 60.00
loop_
_atom_site_label
_atom_site_type_symbol
_atom_site_fract_x
_atom_site_fract_y
_atom_site_fract_z
_atom_site_occupancy
Pm1 Pm 0.7500 0.7500 0.7500 1
H1 H 0.2500 0.2500 0.2500 1
H2 H 0.0000 0.0000 0.0000 1
H3 H 0.5000 0.5000 0.5000 1
```

Computed properties:
SG: No. 225
Calculated volume in Å³ per atom: 9.6
Energy of formation in eV/atom: -0.630
Total DFT energy (no corrections) in eV per cell: -42.43

***

(3)
The following is a r²SCAN calculation of crystalline DyCdHg2 at its relaxed geometry, from the Materials Project database.

```
data_DyCdHg2
_space_group_name_H-M_alt 'P 1'
_space_group_IT_number 1
_space_group_name_Hall 'P 1'
_cell_length_a 5.0455
_cell_length_b 5.0455
_cell_length_c 5.0455
_cell_angle_alpha 60.00
_cell_angle_beta 60.00
_cell_angle_gamma 60.00
loop_
_atom_site_label
_atom_site_type_symbol
_atom_site_fract_x
_atom_site_fract_y
_atom_site_fract_z
_atom_site_occupancy
Cd1 Cd 0.2500 0.2500 0.2500 1
Dy1 Dy 0.7500 0.7500 0.7500 1
Hg1 Hg 0.5000 0.5000 0.5000 1
Hg2 Hg 0.0000 0.0000 0.0000 1
```

Computed properties:
SG: No. 225
Calculated volume in Å³ per atom: 22.7
Energy of formation in eV/atom: -0.428
Total DFT energy (no corrections) in eV per cell: -152.54

***

(4)
The following is a r²SCAN calculation of crystalline CsEuBr3 at its relaxed geometry, from the Materials Project database.

```
data_CsEuBr3
_space_group_name_H-M_alt 'P 1'
_space_group_IT_number 1
_space_group_name_Hall 'P 1'
_cell_length_a 8.1682
_cell_length_b 8.3982
_cell_length_c 11.7889
_cell_angle_alpha 90.00
_cell_angle_beta 90.00
_cell_angle_gamma 90.00
loop_
_atom_site_label
_atom_site_type_symbol
_atom_site_fract_x
_atom_site_fract_y
_atom_site_fract_z
_atom_site_occupancy
Br1 Br 0.7016 0.7043 0.0338 1
Br2 Br 0.2016 0.7957 0.9662 1
Br3 Br 0.2984 0.2957 0.5338 1
Br4 Br 0.2016 0.7957 0.5338 1
Br5 Br 0.7016 0.7043 0.4662 1
Br6 Br 0.7984 0.2043 0.0338 1
Br7 Br 0.9353 0.4920 0.7500 1
Br8 Br 0.0647 0.5080 0.2500 1
Br9 Br 0.5647 0.9920 0.7500 1
Br10 Br 0.4353 0.0080 0.2500 1
Br11 Br 0.2984 0.2957 0.9662 1
Br12 Br 0.7984 0.2043 0.4662 1
Cs1 Cs 0.5116 0.4469 0.2500 1
Cs2 Cs 0.4884 0.5531 0.7500 1
Cs3 Cs 0.0116 0.0531 0.7500 1
Cs4 Cs 0.9884 0.9469 0.2500 1
Eu1 Eu 0.5000 0.0000 0.0000 1
Eu2 Eu 0.5000 0.0000 0.5000 1
Eu3 Eu 0.0000 0.5000 0.0000 1
Eu4 Eu 0.0000 0.5000 0.5000 1
```

Computed properties:
SG: No. 62
Calculated volume in Å³ per atom: 40.4
Energy of formation in eV/atom: -2.240
Total DFT energy (no corrections) in eV per cell: -458.43